A plane-wave DFT calculation with PBE was carried out for a relaxed structure of NaDyP2H2CO7.

CIF file:
```
data_NaDyP2H2CO7
_chemical_formula_sum 'Na4 Dy4 P8 H8 C4 O28'
_symmetry_space_group_name_H-M 'P 1 21/c 1'
_symmetry_Int_Tables_number 14
_cell_length_a 6.7186
_cell_length_b 15.1606
_cell_length_c 6.6154
_cell_angle_alpha 90.00
_cell_angle_beta 91.40
_cell_angle_gamma 90.00
loop_
_symmetry_equiv_pos_as_xyz
'x,y,z'
'-x,-y,-z'
'-x,y+1/2,-z+1/2'
'x,-y+1/2,z+1/2'
loop_
_atom_site_label
_atom_site_type_symbol
_atom_site_fract_x
_atom_site_fract_y
_atom_site_fract_z
Na1 Na 0.2039 0.0277 0.1393
Dy1 Dy 0.3253 0.6024 0.0968
P1 P 0.1816 0.0921 0.6313
P2 P 0.4675 0.6610 0.6024
H1 H 0.1777 0.2005 0.8939
H2 H 0.3027 0.2388 0.6786
C1 C 0.2868 0.1818 0.7795
O1 O 0.0071 0.6263 0.9787
O2 O 0.0897 0.6613 0.3300
O3 O 0.1404 0.0141 0.7774
O4 O 0.3337 0.0578 0.4768
O5 O 0.3476 0.6039 0.7469
O6 O 0.3757 0.7471 0.0662
O7 O 0.4975 0.1122 0.0984
```

Output
- Energy of formation from the pure elements: -29.05 eV per formula unit
- E_tot: -6.546 eV/atom